one) Here is a relaxed structure of Rb6Nb6H14O27 from the Materials Project. Energies are from PBE.

The structure in CIF format:
```
data_Rb6Nb6H14O27
_space_group_name_H-M_alt 'P 1'
_space_group_IT_number 1
_cell_length_a 9.7829
_cell_length_b 10.6174
_cell_length_c 17.2237
_cell_angle_alpha 73.14
_cell_angle_beta 88.28
_cell_angle_gamma 65.10
loop_
_space_group_symop_operation_xyz
'x,y,z'
loop_
_atom_site_label
_atom_site_type_symbol
_atom_site_fract_x
_atom_site_fract_y
_atom_site_fract_z
Rb1 Rb 0.0000 0.0000 0.0000
Rb2 Rb 0.0180 0.8179 0.5834
Rb3 Rb 0.1737 0.5394 0.1831
Rb4 Rb 0.2924 0.5665 0.9723
Rb5 Rb 0.3217 0.3687 0.5129
Rb6 Rb 0.3515 0.8700 0.8548
Rb7 Rb 0.4252 0.6989 0.4407
Rb8 Rb 0.4593 0.2055 0.7862
Rb9 Rb 0.4888 0.0035 0.3233
Rb10 Rb 0.6098 0.0330 0.1143
Rb11 Rb 0.7629 0.7509 0.7094
Rb12 Rb 0.7825 0.5721 0.2968
Nb1 Nb 0.0275 0.3906 0.7866
Nb2 Nb 0.0585 0.1799 0.3292
Nb3 Nb 0.1028 0.2984 0.9625
Nb4 Nb 0.1451 0.0736 0.5004
Nb5 Nb 0.6356 0.4996 0.7958
Nb6 Nb 0.6785 0.2737 0.3326
Nb7 Nb 0.7227 0.3896 0.9657
Nb8 Nb 0.7519 0.1821 0.5086
Nb9 Nb 0.8504 0.6349 0.9516
Nb10 Nb 0.8779 0.4282 0.4934
Nb11 Nb 0.9025 0.1437 0.8022
Nb12 Nb 0.9299 0.9358 0.3439
H1 H 0.0040 0.8054 0.0939
H2 H 0.0465 0.3126 0.2026
H3 H 0.0521 0.6991 0.8536
H4 H 0.0797 0.7869 0.8044
H5 H 0.0823 0.8751 0.1771
H6 H 0.0987 0.3320 0.6161
H7 H 0.1625 0.5266 0.6832
H8 H 0.2488 0.0920 0.1708
H9 H 0.2625 0.8394 0.2830
H10 H 0.2790 0.1216 0.0918
H11 H 0.2906 0.5853 0.6902
H12 H 0.3801 0.8709 0.0557
H13 H 0.4007 0.7010 0.2399
H14 H 0.4895 0.9869 0.6059
H15 H 0.5034 0.4498 0.2042
H16 H 0.5179 0.7322 0.0125
H17 H 0.5307 0.4793 0.1245
H18 H 0.6187 0.0446 0.6134
H19 H 0.6820 0.2401 0.6799
H20 H 0.6978 0.6962 0.1184
H21 H 0.7002 0.7838 0.4906
H22 H 0.7289 0.8718 0.4422
H23 H 0.7332 0.2562 0.0931
H24 H 0.7761 0.7662 0.2013
H25 H 0.7894 0.4290 0.6632
H26 H 0.8217 0.2099 0.1753
H27 H 0.9605 0.3633 0.1214
H28 H 0.9907 0.1421 0.6321
O1 O 0.0062 0.1972 0.7344
O2 O 0.0145 0.3768 0.4093
O3 O 0.0407 0.5110 0.0051
O4 O 0.0558 0.9790 0.2862
O5 O 0.0796 0.1178 0.8846
O6 O 0.0845 0.3002 0.5548
O7 O 0.1038 0.8010 0.1246
O8 O 0.1073 0.7625 0.8571
O9 O 0.1146 0.9001 0.4309
O10 O 0.1325 0.6092 0.4253
O11 O 0.1342 0.3937 0.7141
O12 O 0.1713 0.1772 0.2584
O13 O 0.1837 0.3159 0.8702
O14 O 0.1869 0.5919 0.6635
O15 O 0.2237 0.1044 0.4176
O16 O 0.2711 0.2286 0.0315
O17 O 0.2733 0.9879 0.7080
O18 O 0.2971 0.0451 0.1185
O19 O 0.3130 0.0005 0.5672
O20 O 0.3713 0.7790 0.2904
O21 O 0.4090 0.7925 0.0053
O22 O 0.4675 0.5718 0.7282
O23 O 0.4828 0.5265 0.1769
O24 O 0.5084 0.5837 0.5901
O25 O 0.5087 0.1680 0.9736
O26 O 0.5154 0.3419 0.2628
O27 O 0.5571 0.4675 0.8781
O28 O 0.5928 0.9806 0.6334
O29 O 0.5949 0.2565 0.4248
O30 O 0.6081 0.3901 0.0359
O31 O 0.6466 0.1779 0.5811
O32 O 0.6660 0.6725 0.8642
O33 O 0.6714 0.8106 0.4386
O34 O 0.6763 0.7697 0.1711
O35 O 0.6962 0.2719 0.7411
O36 O 0.7014 0.4542 0.4110
O37 O 0.7250 0.5909 0.0094
O38 O 0.7416 0.0597 0.2907
O39 O 0.7670 0.1954 0.8865
O40 O 0.7741 0.3744 0.5607
O41 O 0.7994 0.1732 0.1153
O42 O 0.8025 0.4720 0.7238
O43 O 0.8086 0.9810 0.4374
O44 O 0.8453 0.8112 0.0113
O45 O 0.8473 0.2578 0.2777
O46 O 0.8581 0.6090 0.5501
O47 O 0.8663 0.3948 0.8702
O48 O 0.9150 0.1774 0.4256
O49 O 0.9201 0.9626 0.7461
O50 O 0.9353 0.3139 0.0179
O51 O 0.9368 0.7582 0.2845
O52 O 0.9718 0.5917 0.8579
O53 O 0.9777 0.1002 0.5714
O54 O 0.9864 0.3980 0.1811
```

---

two) Here is a relaxed structure of Rb6Nb6H14O27 from the Materials Project. Energies are from PBE.

The structure in CIF format:
```
data_Rb6Nb6H14O27
_space_group_name_H-M_alt 'P 1'
_space_group_IT_number 1
_cell_length_a 9.7829
_cell_length_b 10.6174
_cell_length_c 17.2237
_cell_angle_alpha 73.14
_cell_angle_beta 88.28
_cell_angle_gamma 65.10
loop_
_space_group_symop_operation_xyz
'x,y,z'
loop_
_atom_site_label
_atom_site_type_symbol
_atom_site_fract_x
_atom_site_fract_y
_atom_site_fract_z
Rb1 Rb 0.0000 0.0000 0.0000
Rb2 Rb 0.0180 0.2345 0.5834
Rb3 Rb 0.1737 0.3563 0.1831
Rb4 Rb 0.2924 0.5942 0.9723
Rb5 Rb 0.3217 0.8558 0.5129
Rb6 Rb 0.3515 0.0152 0.8548
Rb7 Rb 0.4252 0.2582 0.4407
Rb8 Rb 0.4593 0.4193 0.7862
Rb9 Rb 0.4888 0.6802 0.3233
Rb10 Rb 0.6098 0.9188 0.1143
Rb11 Rb 0.7629 0.0416 0.7094
Rb12 Rb 0.7825 0.2752 0.2968
Nb1 Nb 0.0275 0.6040 0.7866
Nb2 Nb 0.0585 0.8507 0.3292
Nb3 Nb 0.1028 0.3359 0.9625
Nb4 Nb 0.1451 0.5732 0.5004
Nb5 Nb 0.6356 0.7037 0.7958
Nb6 Nb 0.6785 0.9411 0.3326
Nb7 Nb 0.7227 0.4239 0.9657
Nb8 Nb 0.7519 0.6735 0.5086
Nb9 Nb 0.8504 0.6833 0.9516
Nb10 Nb 0.8779 0.9348 0.4934
Nb11 Nb 0.9025 0.3415 0.8022
Nb12 Nb 0.9299 0.5919 0.3439
H1 H 0.0040 0.7115 0.0939
H2 H 0.0465 0.1100 0.2026
H3 H 0.0521 0.8455 0.8536
H4 H 0.0797 0.9825 0.8044
H5 H 0.0823 0.6981 0.1771
H6 H 0.0987 0.7159 0.6161
H7 H 0.1625 0.8434 0.6832
H8 H 0.2488 0.9212 0.1708
H9 H 0.2625 0.5564 0.2830
H10 H 0.2790 0.0299 0.0918
H11 H 0.2906 0.8951 0.6902
H12 H 0.3801 0.8152 0.0557
H13 H 0.4007 0.4611 0.2399
H14 H 0.4895 0.3810 0.6059
H15 H 0.5034 0.2457 0.2042
H16 H 0.5179 0.7197 0.0125
H17 H 0.5307 0.3547 0.1245
H18 H 0.6187 0.4312 0.6134
H19 H 0.6820 0.5602 0.6799
H20 H 0.6978 0.5778 0.1184
H21 H 0.7002 0.2932 0.4906
H22 H 0.7289 0.4296 0.4422
H23 H 0.7332 0.1631 0.0931
H24 H 0.7761 0.5649 0.2013
H25 H 0.7894 0.7658 0.6632
H26 H 0.8217 0.0347 0.1753
H27 H 0.9605 0.2419 0.1214
H28 H 0.9907 0.5099 0.6321
O1 O 0.0062 0.4628 0.7344
O2 O 0.0145 0.9674 0.4093
O3 O 0.0407 0.5059 0.0051
O4 O 0.0558 0.6928 0.2862
O5 O 0.0796 0.2332 0.8846
O6 O 0.0845 0.7454 0.5548
O7 O 0.1038 0.6765 0.1246
O8 O 0.1073 0.9055 0.8571
O9 O 0.1146 0.4692 0.4309
O10 O 0.1325 0.1838 0.4253
O11 O 0.1342 0.6796 0.7141
O12 O 0.1713 0.9189 0.2584
O13 O 0.1837 0.4457 0.8702
O14 O 0.1869 0.9284 0.6635
O15 O 0.2237 0.6867 0.4176
O16 O 0.2711 0.1971 0.0315
O17 O 0.2733 0.2799 0.7080
O18 O 0.2971 0.9266 0.1185
O19 O 0.3130 0.4333 0.5672
O20 O 0.3713 0.4887 0.2904
O21 O 0.4090 0.7872 0.0053
O22 O 0.4675 0.8435 0.7282
O23 O 0.4828 0.3496 0.1769
O24 O 0.5084 0.9935 0.5901
O25 O 0.5087 0.1943 0.9736
O26 O 0.5154 0.0791 0.2628
O27 O 0.5571 0.5894 0.8781
O28 O 0.5928 0.3472 0.6334
O29 O 0.5949 0.8317 0.4248
O30 O 0.6081 0.3542 0.0359
O31 O 0.6466 0.5968 0.5811
O32 O 0.6660 0.8083 0.8642
O33 O 0.6714 0.3720 0.4386
O34 O 0.6763 0.5985 0.1711
O35 O 0.6962 0.5309 0.7411
O36 O 0.7014 0.0433 0.4110
O37 O 0.7250 0.5815 0.0094
O38 O 0.7416 0.7690 0.2907
O39 O 0.7670 0.3089 0.8865
O40 O 0.7741 0.8137 0.5607
O41 O 0.7994 0.0578 0.1153
O42 O 0.8025 0.7482 0.7238
O43 O 0.8086 0.5436 0.4374
O44 O 0.8453 0.8000 0.0113
O45 O 0.8473 0.9801 0.2777
O46 O 0.8581 0.0589 0.5501
O47 O 0.8663 0.5246 0.8702
O48 O 0.9150 0.7518 0.4256
O49 O 0.9201 0.2164 0.7461
O50 O 0.9353 0.2960 0.0179
O51 O 0.9368 0.4737 0.2845
O52 O 0.9718 0.7338 0.8579
O53 O 0.9777 0.5288 0.5714
O54 O 0.9864 0.2168 0.1811
```

---

Short version: two) is the most stable of them.

---

one) Here is a relaxed structure of NbH4Se2 from the Materials Project. Energies are from PBE.

The structure in CIF format:
```
data_NbH4Se2
_space_group_name_H-M_alt 'C 1 c 1'
_space_group_IT_number 9
_cell_length_a 7.6306
_cell_length_b 13.7582
_cell_length_c 7.7682
_cell_angle_alpha 90.00
_cell_angle_beta 117.69
_cell_angle_gamma 90.00
loop_
_space_group_symop_operation_xyz
'x,y,z'
'x,-y,z+1/2'
'x+1/2,y+1/2,z'
'x+1/2,-y+1/2,z+1/2'
loop_
_atom_site_label
_atom_site_type_symbol
_atom_site_fract_x
_atom_site_fract_y
_atom_site_fract_z
Nb1 Nb 0.0000 0.2004 0.0000
H1 H 0.0109 0.3229 0.9372
H2 H 0.0838 0.4995 0.3130
H3 H 0.2954 0.3782 0.4319
H4 H 0.2960 0.0922 0.1037
Se1 Se 0.1364 0.2157 0.3399
Se2 Se 0.2248 0.1209 0.8937
```

---

two) Here is a relaxed structure of NbH4Se2 from the Materials Project. Energies are from PBE.

The structure in CIF format:
```
data_NbH4Se2
_space_group_name_H-M_alt 'C 1 2/m 1'
_space_group_IT_number 12
_cell_length_a 6.8453
_cell_length_b 3.8777
_cell_length_c 12.5368
_cell_angle_alpha 90.00
_cell_angle_beta 90.91
_cell_angle_gamma 90.00
loop_
_space_group_symop_operation_xyz
'x,y,z'
'-x,-y,-z'
'-x,y,-z'
'x,-y,z'
'x+1/2,y+1/2,z'
'-x+1/2,-y+1/2,-z'
'-x+1/2,y+1/2,-z'
'x+1/2,-y+1/2,z'
loop_
_atom_site_label
_atom_site_type_symbol
_atom_site_fract_x
_atom_site_fract_y
_atom_site_fract_z
Nb1 Nb 0.1646 0.0000 0.2409
H1 H 0.0000 0.5000 0.0000
H2 H 0.0000 0.5000 0.5000
H3 H 0.0828 0.2518 0.1198
H4 H 0.1654 0.5000 0.8778
Se1 Se 0.1595 0.0000 0.6243
Se2 Se 0.1646 0.0000 0.8840
```

---

Short version: one) is the most stable of them.

---

one) Here is a relaxed structure of TiPHO5 from the Materials Project. Energies are from PBE.

The structure in CIF format:
```
data_TiPHO5
_space_group_name_H-M_alt 'P -1'
_space_group_IT_number 2
_cell_length_a 5.2052
_cell_length_b 5.2568
_cell_length_c 7.4400
_cell_angle_alpha 109.46
_cell_angle_beta 105.56
_cell_angle_gamma 97.66
loop_
_space_group_symop_operation_xyz
'x,y,z'
'-x,-y,-z'
loop_
_atom_site_label
_atom_site_type_symbol
_atom_site_fract_x
_atom_site_fract_y
_atom_site_fract_z
Ti1 Ti 0.0000 0.0000 0.0000
Ti2 Ti 0.5000 0.5000 0.5000
P1 P 0.0540 0.3748 0.7285
H1 H 0.4850 0.8066 0.8342
O1 O 0.1266 0.1790 0.8392
O2 O 0.1548 0.6851 0.8833
O3 O 0.2126 0.3461 0.5773
O4 O 0.2572 0.6998 0.3816
O5 O 0.3624 0.1886 0.2213
```

---

two) Here is a relaxed structure of TiPHO5 from the Materials Project. Energies are from PBE.

The structure in CIF format:
```
data_TiPHO5
_space_group_name_H-M_alt 'P 1 21 1'
_space_group_IT_number 4
_cell_length_a 7.4523
_cell_length_b 7.0735
_cell_length_c 7.5175
_cell_angle_alpha 90.00
_cell_angle_beta 117.18
_cell_angle_gamma 90.00
loop_
_space_group_symop_operation_xyz
'x,y,z'
'-x,y+1/2,-z'
loop_
_atom_site_label
_atom_site_type_symbol
_atom_site_fract_x
_atom_site_fract_y
_atom_site_fract_z
Ti1 Ti 0.2186 0.0000 0.4705
Ti2 Ti 0.2192 0.5036 0.9745
P1 P 0.0013 0.3934 0.2514
P2 P 0.5001 0.1338 0.2493
H1 H 0.4321 0.2203 0.8109
H2 H 0.4474 0.7384 0.3078
O1 O 0.0006 0.4244 0.7526
O2 O 0.0912 0.0187 0.6440
O3 O 0.0942 0.5224 0.1494
O4 O 0.1664 0.7686 0.9078
O5 O 0.1686 0.2659 0.4063
O6 O 0.3357 0.2609 0.0906
O7 O 0.3366 0.7591 0.5894
O8 O 0.4095 0.5054 0.8560
O9 O 0.4099 0.0005 0.3515
O10 O 0.4974 0.1406 0.7486
```

Properties
- Maximum piezoelectric response: 0.3 C/m²

---

Short version: two) is the most stable of them.

---

one) Here is a relaxed structure of TlPH2O4 from the Materials Project. Energies are from PBE.

The structure in CIF format:
```
data_TlPH2O4
_space_group_name_H-M_alt 'P 1 21/c 1'
_space_group_IT_number 14
_cell_length_a 9.1420
_cell_length_b 6.6292
_cell_length_c 15.1169
_cell_angle_alpha 90.00
_cell_angle_beta 106.89
_cell_angle_gamma 90.00
loop_
_space_group_symop_operation_xyz
'x,y,z'
'-x,-y,-z'
'-x,y+1/2,-z+1/2'
'x,-y+1/2,z+1/2'
loop_
_atom_site_label
_atom_site_type_symbol
_atom_site_fract_x
_atom_site_fract_y
_atom_site_fract_z
Tl1 Tl 0.0605 0.2278 0.1187
Tl2 Tl 0.4367 0.7226 0.8636
P1 P 0.1789 0.2446 0.3746
P2 P 0.3186 0.7468 0.6250
H1 H 0.0763 0.7489 0.6872
H2 H 0.2374 0.5268 0.0070
H3 H 0.2758 0.5207 0.5085
H4 H 0.3765 0.2373 0.8152
O1 O 0.0193 0.1812 0.3042
O2 O 0.1507 0.0899 0.9382
O3 O 0.2087 0.5883 0.0639
O4 O 0.2256 0.6444 0.6819
O5 O 0.2613 0.0573 0.4239
O6 O 0.2724 0.1695 0.8089
O7 O 0.3639 0.5954 0.5559
O8 O 0.4698 0.6616 0.1835
```

---

two) Here is a relaxed structure of TlPH2O4 from the Materials Project. Energies are from PBE.

The structure in CIF format:
```
data_TlPH2O4
_space_group_name_H-M_alt 'P b c n'
_space_group_IT_number 60
_cell_length_a 4.5096
_cell_length_b 14.4363
_cell_length_c 6.5900
_cell_angle_alpha 90.00
_cell_angle_beta 90.00
_cell_angle_gamma 90.00
loop_
_space_group_symop_operation_xyz
'x,y,z'
'-x,-y,-z'
'-x+1/2,-y+1/2,z+1/2'
'x+1/2,y+1/2,-z+1/2'
'x+1/2,-y+1/2,-z'
'-x+1/2,y+1/2,z'
'-x,y,-z+1/2'
'x,-y,z+1/2'
loop_
_atom_site_label
_atom_site_type_symbol
_atom_site_fract_x
_atom_site_fract_y
_atom_site_fract_z
Tl1 Tl 0.0000 0.1286 0.2500
P1 P 0.0000 0.3753 0.2500
H1 H 0.0000 0.1845 0.7500
H2 H 0.0000 0.5000 0.0000
O1 O 0.1296 0.4362 0.0766
O2 O 0.2430 0.1877 0.8283
```

---

Short version: one) is the most stable of them.